1.
A geometry-optimized Li2VCrP4O14 structure. Source: the Materials Project, functional PBE+U.

Unit cell a=7.1476 b=8.2252 c=9.7345 alpha=90.00 beta=111.38 gamma=90.00
Last column: nearest neighbours and their distance in Å.
Space group P2_1 (No. 4)
Unique sites:
Li  0.1758  0.0000  0.4988 [2 per cell]  4 O 2.00-2.08
Li  0.1767  0.0000  0.0003 [2 per cell]  4 O 2.00-2.07
V  0.2292  0.3633  0.0067 [2 per cell]  6 O 1.99-2.08
Cr  0.2276  0.3626  0.5064 [2 per cell]  6 O 1.98-2.05
P  0.0214  0.6829  0.8103 [2 per cell]  4 O 1.53-1.61
P  0.0231  0.6821  0.3120 [2 per cell]  4 O 1.53-1.61
P  0.4134  0.5781  0.8121 [2 per cell]  4 O 1.52-1.63
P  0.4149  0.5795  0.3148 [2 per cell]  4 O 1.52-1.63
O  0.0050  0.5187  0.8787 [2 per cell]  1 P 1.53
O  0.0096  0.5165  0.3809 [2 per cell]  1 P 1.54
O  0.0184  0.3244  0.6018 [2 per cell]  1 P 1.53
O  0.0182  0.3255  0.1023 [2 per cell]  1 P 1.54
O  0.1055  0.1830  0.8531 [2 per cell]  1 P 1.53
O  0.1068  0.1845  0.3546 [2 per cell]  1 P 1.53
O  0.2532  0.7103  0.8291 [2 per cell]  2 P 1.61-1.63
O  0.2537  0.7114  0.3299 [2 per cell]  2 P 1.61-1.63
O  0.3526  0.5381  0.6494 [2 per cell]  1 P 1.52
O  0.3535  0.5402  0.1515 [2 per cell]  1 P 1.52
O  0.3835  0.1691  0.6257 [2 per cell]  1 P 1.53
O  0.3854  0.1659  0.1273 [2 per cell]  1 P 1.52
O  0.4168  0.4277  0.9070 [2 per cell]  1 P 1.54
O  0.4173  0.4292  0.4084 [2 per cell]  1 P 1.53

The total energy after the MP2020 corrections comes out at -345.89 eV for the cell shown. Its formation enthalpy at 0 K is -2703.0 meV/atom. The calculation puts the size of the total moment at 5.0 μB per formula unit.

---

2.
A geometry-optimized Li6V3CrP6O24 structure. Source: the Materials Project, functional PBE+U.

Unit cell a=8.6166 b=8.6439 c=8.6531 alpha=61.36 beta=61.29 gamma=61.28
Last column: nearest neighbours and their distance in Å.
Space group P1 (No. 1)
Unique sites:
Li  0.0000  0.0000  0.0000 [1 per cell]  6 O 2.12-2.37
Li  0.0954  0.5043  0.9074 [1 per cell]  3 O 2.13-2.34
Li  0.2751  0.8576  0.6502 [1 per cell]  3 O 2.05-2.17
Li  0.5086  0.6982  0.3001 [1 per cell]  3 O 2.14-2.34
Li  0.7236  0.3535  0.1445 [1 per cell]  3 O 2.07-2.21
Li  0.9033  0.1066  0.4961 [1 per cell]  3 O 2.11-2.36
V  0.1044  0.7056  0.5053 [1 per cell]  6 O 1.97-2.08
V  0.3943  0.9954  0.7882 [1 per cell]  6 O 1.98-2.06
V  0.6073  0.2128  0.0060 [1 per cell]  6 O 1.99-2.08
Cr  0.8954  0.4953  0.2972 [1 per cell]  6 O 1.98-2.04
P  0.0007  0.3044  0.6949 [1 per cell]  4 O 1.53-1.56
P  0.2056  0.1016  0.1886 [1 per cell]  4 O 1.52-1.57
P  0.2954  0.6024  0.1013 [1 per cell]  4 O 1.54-1.56
P  0.5017  0.3928  0.6072 [1 per cell]  4 O 1.51-1.58
P  0.7027  0.8972  0.4005 [1 per cell]  4 O 1.54-1.55
P  0.7943  0.8113  0.9039 [1 per cell]  4 O 1.51-1.57
O  0.0172  0.2676  0.2129 [1 per cell]  1 P 1.57
O  0.0561  0.4627  0.6660 [1 per cell]  1 P 1.53
O  0.1351  0.5448  0.1337 [1 per cell]  1 P 1.55
O  0.1560  0.1109  0.7189 [1 per cell]  1 P 1.55
O  0.1781  0.9432  0.3810 [1 per cell]  1 P 1.56
O  0.2215  0.0559  0.0289 [1 per cell]  1 P 1.54
O  0.2637  0.6567  0.2623 [1 per cell]  1 P 1.54
O  0.2955  0.7736  0.9195 [1 per cell]  1 P 1.56
O  0.3416  0.5866  0.5780 [1 per cell]  1 P 1.58
O  0.3770  0.1396  0.1524 [1 per cell]  1 P 1.52
O  0.4519  0.2316  0.6377 [1 per cell]  1 P 1.52
O  0.4863  0.4444  0.0787 [1 per cell]  1 P 1.55
O  0.5117  0.9224  0.5568 [1 per cell]  1 P 1.54
O  0.5478  0.3641  0.7692 [1 per cell]  1 P 1.51
O  0.6244  0.8489  0.8636 [1 per cell]  1 P 1.51
O  0.6650  0.4147  0.4153 [1 per cell]  1 P 1.58
O  0.7084  0.0775  0.2293 [1 per cell]  1 P 1.55
O  0.7315  0.7349  0.3486 [1 per cell]  1 P 1.55
O  0.7776  0.9711  0.9504 [1 per cell]  1 P 1.54
O  0.8143  0.6203  0.0670 [1 per cell]  1 P 1.57
O  0.8435  0.2814  0.8886 [1 per cell]  1 P 1.56
O  0.8615  0.8600  0.4638 [1 per cell]  1 P 1.55
O  0.9447  0.3340  0.5359 [1 per cell]  1 P 1.54
O  0.9848  0.7820  0.7428 [1 per cell]  1 P 1.56

The total energy after the MP2020 corrections comes out at -306.33 eV for the cell shown. Its formation enthalpy at 0 K is -2668.5 meV/atom. The calculation puts the size of the total moment at 9.0 μB per formula unit.

---

3.
A geometry-optimized Li2VCrP4O14 structure. Source: the Materials Project, functional PBE+U.

Unit cell a=7.0208 b=8.2218 c=14.0152 alpha=90.01 beta=99.54 gamma=90.11
Last column: nearest neighbours and their distance in Å.
Space group P1 (No. 1)
Unique sites:
Li  0.0000  0.0000  0.0000 [1 per cell]  4 O 1.99-2.07
Li  0.0970  0.5001  0.4511 [1 per cell]  4 O 1.99-2.07
Li  0.3332  0.9997  0.3334 [1 per cell]  4 O 2.00-2.07
Li  0.4305  0.5000  0.7844 [1 per cell]  4 O 1.99-2.07
Li  0.6663  0.9996  0.6668 [1 per cell]  4 O 2.00-2.08
Li  0.7641  0.4996  0.1177 [1 per cell]  4 O 1.99-2.07
V  0.0393  0.6361  0.9867 [1 per cell]  6 O 1.99-2.07
V  0.0578  0.1362  0.4644 [1 per cell]  6 O 1.99-2.08
V  0.3917  0.1363  0.7977 [1 per cell]  6 O 1.99-2.07
Cr  0.3713  0.6366  0.3208 [1 per cell]  6 O 1.98-2.05
Cr  0.7041  0.6366  0.6541 [1 per cell]  6 O 1.98-2.05
Cr  0.7263  0.1368  0.1304 [1 per cell]  6 O 1.98-2.05
P  0.0324  0.4213  0.7954 [1 per cell]  4 O 1.52-1.63
P  0.0628  0.9188  0.6547 [1 per cell]  4 O 1.52-1.62
P  0.1043  0.3172  0.2586 [1 per cell]  4 O 1.53-1.61
P  0.3279  0.8163  0.5254 [1 per cell]  4 O 1.53-1.62
P  0.3686  0.4201  0.1301 [1 per cell]  4 O 1.52-1.63
P  0.3983  0.9214  0.9887 [1 per cell]  4 O 1.52-1.63
P  0.4386  0.3175  0.5920 [1 per cell]  4 O 1.53-1.61
P  0.6602  0.8166  0.8585 [1 per cell]  4 O 1.53-1.61
P  0.6998  0.4226  0.4627 [1 per cell]  4 O 1.52-1.63
P  0.7287  0.9201  0.3209 [1 per cell]  4 O 1.52-1.63
P  0.7705  0.3165  0.9258 [1 per cell]  4 O 1.53-1.61
P  0.9931  0.8173  0.1925 [1 per cell]  4 O 1.53-1.61
O  0.0988  0.5715  0.8578 [1 per cell]  1 P 1.54
O  0.1353  0.1749  0.3303 [1 per cell]  1 P 1.53
O  0.1419  0.4827  0.3094 [1 per cell]  1 P 1.54
O  0.1600  0.7884  0.5902 [1 per cell]  2 P 1.62
O  0.1888  0.8163  0.2593 [1 per cell]  1 P 1.53
O  0.2067  0.3331  0.7685 [1 per cell]  1 P 1.52
O  0.2129  0.9592  0.7426 [1 per cell]  1 P 1.52
O  0.2182  0.4594  0.0419 [1 per cell]  1 P 1.52
O  0.2236  0.8334  0.0156 [1 per cell]  1 P 1.52
O  0.2422  0.3161  0.5250 [1 per cell]  1 P 1.53
O  0.2710  0.2883  0.1940 [1 per cell]  2 P 1.61-1.63
O  0.2928  0.9810  0.4747 [1 per cell]  1 P 1.53
O  0.2956  0.6733  0.4543 [1 per cell]  1 P 1.53
O  0.3323  0.0716  0.9265 [1 per cell]  1 P 1.54
O  0.4326  0.5705  0.1919 [1 per cell]  1 P 1.53
O  0.4685  0.1750  0.6635 [1 per cell]  1 P 1.53
O  0.4753  0.4828  0.6430 [1 per cell]  1 P 1.54
O  0.4935  0.7892  0.9237 [1 per cell]  2 P 1.61-1.63
O  0.5228  0.8152  0.5931 [1 per cell]  1 P 1.53
O  0.5425  0.3301  0.1026 [1 per cell]  1 P 1.53
O  0.5477  0.9611  0.0768 [1 per cell]  1 P 1.52
O  0.5500  0.4611  0.3744 [1 per cell]  1 P 1.52
O  0.5547  0.8303  0.3485 [1 per cell]  1 P 1.53
O  0.5750  0.3151  0.8578 [1 per cell]  1 P 1.54
O  0.6041  0.2891  0.5271 [1 per cell]  2 P 1.61-1.63
O  0.6261  0.9810  0.8076 [1 per cell]  1 P 1.53
O  0.6290  0.6734  0.7877 [1 per cell]  1 P 1.53
O  0.6650  0.0705  0.2592 [1 per cell]  1 P 1.53
O  0.7647  0.5719  0.5254 [1 per cell]  1 P 1.53
O  0.8014  0.1733  0.9967 [1 per cell]  1 P 1.53
O  0.8047  0.4809  0.9767 [1 per cell]  1 P 1.53
O  0.8262  0.7884  0.2572 [1 per cell]  2 P 1.61-1.63
O  0.8556  0.8151  0.9265 [1 per cell]  1 P 1.54
O  0.8737  0.3338  0.4353 [1 per cell]  1 P 1.53
O  0.8792  0.9595  0.4092 [1 per cell]  1 P 1.52
O  0.8830  0.4609  0.7075 [1 per cell]  1 P 1.52
O  0.8882  0.8296  0.6818 [1 per cell]  1 P 1.53
O  0.9085  0.3162  0.1918 [1 per cell]  1 P 1.53
O  0.9369  0.2891  0.8606 [1 per cell]  2 P 1.61-1.63
O  0.9555  0.9828  0.1418 [1 per cell]  1 P 1.54
O  0.9618  0.6749  0.1209 [1 per cell]  1 P 1.53
O  0.9975  0.0701  0.5934 [1 per cell]  1 P 1.54

The total energy after the MP2020 corrections comes out at -518.83 eV for the cell shown. Its formation enthalpy at 0 K is -2702.9 meV/atom. The calculation puts the size of the total moment at 5.0 μB per formula unit.

---

4.
A geometry-optimized LiCrS2O8 structure. Source: the Materials Project, functional PBE+U.

Unit cell a=8.3211 b=8.3303 c=8.9049 alpha=90.19 beta=117.65 gamma=119.87
Last column: nearest neighbours and their distance in Å.
Space group P1 (No. 1)
Unique sites:
Li  0.0000  0.0000  0.0000 [1 per cell]  5 O 1.93-2.12
Li  0.1329  0.7449  0.0863 [1 per cell]  4 O 1.98-2.07
Li  0.3647  0.3792  0.0865 [1 per cell]  4 O 1.98-2.05
Cr  0.0389  0.5141  0.5290 [1 per cell]  6 O 1.99-2.01
Cr  0.6194  0.8082  0.4016 [1 per cell]  6 O 1.98-2.09
Cr  0.6216  0.3032  0.9057 [1 per cell]  6 O 2.00-2.07
S  0.1118  0.4089  0.2099 [1 per cell]  4 O 1.44-1.53
S  0.1185  0.2032  0.7102 [1 per cell]  4 O 1.47-1.49
S  0.5310  0.9025  0.7105 [1 per cell]  4 O 1.44-1.51
S  0.5429  0.1240  0.2083 [1 per cell]  4 O 1.46-1.51
S  0.8201  0.6904  0.2109 [1 per cell]  4 O 1.46-1.53
S  0.8262  0.6147  0.7097 [1 per cell]  4 O 1.47-1.49
O  0.0000  0.7962  0.8580 [1 per cell]  1 S 1.47
O  0.0412  0.2104  0.1598 [1 per cell]  1 S 1.44
O  0.0859  0.1959  0.8592 [1 per cell]  1 S 1.47
O  0.1438  0.4696  0.3817 [1 per cell]  1 S 1.47
O  0.1867  0.3983  0.6848 [1 per cell]  1 S 1.49
O  0.2939  0.1731  0.7465 [1 per cell]  1 S 1.49
O  0.3099  0.7767  0.6860 [1 per cell]  1 S 1.50
O  0.3302  0.5433  0.2245 [1 per cell]  1 S 1.52
O  0.3690  0.1542  0.1633 [1 per cell]  1 S 1.46
O  0.4636  0.9209  0.2243 [1 per cell]  1 S 1.51
O  0.5026  0.8566  0.5327 [1 per cell]  1 S 1.51
O  0.5906  0.1330  0.0650 [1 per cell]  1 S 1.49
O  0.5987  0.1089  0.7503 [1 per cell]  1 S 1.50
O  0.6337  0.4940  0.0669 [1 per cell]  1 S 1.53
O  0.6599  0.4756  0.7483 [1 per cell]  1 S 1.49
O  0.6860  0.8715  0.8467 [1 per cell]  1 S 1.44
O  0.7058  0.6468  0.5407 [1 per cell]  1 S 1.49
O  0.7083  0.7765  0.2289 [1 per cell]  1 S 1.49
O  0.7434  0.2610  0.3811 [1 per cell]  1 S 1.47
O  0.9174  0.0519  0.5416 [1 per cell]  1 S 1.48
O  0.9277  0.5208  0.6831 [1 per cell]  1 S 1.49
O  0.9339  0.6598  0.3811 [1 per cell]  1 S 1.47
O  0.9598  0.4540  0.0680 [1 per cell]  1 S 1.53
O  0.9737  0.8115  0.1597 [1 per cell]  1 S 1.46

The total energy after the MP2020 corrections comes out at -253.11 eV for the cell shown. Its formation enthalpy at 0 K is -2079.3 meV/atom. The calculation puts the size of the total moment at 3.0 μB per formula unit. Its energy above the most stable polymorph in this dataset is 0.0 kJ/mol of atoms.